Record 1
Material: Mn3ZnN
Method: DFT, PBE-GGA
State: relaxed

Unit cell a=3.7904 b=3.7904 c=3.7904 alpha=90.00 beta=90.00 gamma=90.00
Last column: nearest neighbours and their distance in Å.
Positions (direct):
Mn 0.5000 0.5000 0.0000  2 N 1.90
Mn 0.0000 0.5000 0.5000  2 N 1.90
N 0.5000 0.5000 0.5000  6 Mn 1.90
Zn 0.0000 0.0000 0.0000  12 Mn 2.68
Mn 0.5000 0.0000 0.5000  2 N 1.90

Record 2
Material: Ga2Os
Method: DFT, PBE-GGA
State: relaxed

Output
- Total moment: 0.00 μB/cell

Unit cell a=4.7845 b=4.8097 c=5.0049 alpha=76.25 beta=61.45 gamma=60.17
Last column: nearest neighbours and their distance in Å.
Positions (direct):
Ga 0.9182 0.1635 0.5000  5 Os 2.59-2.77, 5 Ga 2.60-2.81
Os 0.2500 0.5000 0.5000  10 Ga 2.59-2.77
Os 0.5000 0.0000 0.0000  10 Ga 2.59-2.77
Ga 0.1682 0.6635 0.0000  5 Os 2.59-2.77, 5 Ga 2.60-2.81
Ga 0.8318 0.3365 0.0000  5 Os 2.59-2.77, 5 Ga 2.60-2.81
Ga 0.5818 0.8365 0.5000  5 Os 2.59-2.77, 5 Ga 2.60-2.81

Record 3
Material: HoOs2
Method: DFT, PBE-GGA
State: relaxed

Unit cell a=5.3226 b=5.3226 c=8.8103 alpha=90.00 beta=90.00 gamma=120.00
Last column: nearest neighbours and their distance in Å.
Positions (direct):
Os 0.8274 0.6548 0.7500  6 Os 2.57-2.76
Os 0.0000 0.0000 0.0000  6 Os 2.72
Os 0.1726 0.3452 0.2500  6 Os 2.57-2.76
Ho 0.3333 0.6667 0.9348  12 Os 3.12-3.15, 4 Ho 3.26-3.28
Ho 0.6667 0.3333 0.4348  12 Os 3.12-3.15, 4 Ho 3.26-3.28
Os 0.0000 0.0000 0.5000  6 Os 2.72
Ho 0.6667 0.3333 0.0652  12 Os 3.12-3.15, 4 Ho 3.26-3.28
Os 0.8274 0.1726 0.7500  6 Os 2.57-2.76
Os 0.1726 0.8274 0.2500  6 Os 2.57-2.76
Os 0.6548 0.8274 0.2500  6 Os 2.57-2.76
Os 0.3452 0.1726 0.7500  6 Os 2.57-2.76
Ho 0.3333 0.6667 0.5652  12 Os 3.12-3.15, 4 Ho 3.26-3.28

Record 4
Material: Sc3FeC4
Method: DFT, PBE-GGA
State: relaxed

Unit cell a=6.6564 b=6.6564 c=6.6564 alpha=150.46 beta=141.80 gamma=49.01
Last column: nearest neighbours and their distance in Å.
Positions (direct):
Sc 0.5000 0.0000 0.5000  8 C 2.38
Fe 0.0000 0.5000 0.5000  4 C 2.09
Sc 0.8115 0.8115 0.0000  6 C 2.37-2.38
C 0.2103 0.3761 0.8342  1 C 1.44
C 0.4581 0.6239 0.8342  1 C 1.44
C 0.5419 0.3761 0.1658  1 C 1.44
C 0.7897 0.6239 0.1658  1 C 1.44
Sc 0.1885 0.1885 0.0000  6 C 2.37-2.38

Record 5
Material: ZnSi3GeH35C13ClO
Method: DFT, PBE-GGA
State: relaxed

Output
- Total moment: 0.00 μB/cell

Unit cell a=10.1756 b=13.4400 c=21.6240 alpha=90.00 beta=90.00 gamma=104.99
Last column: nearest neighbours and their distance in Å.
Positions (direct):
H 0.9989 0.9038 0.0734  1 C 1.09
Cl 0.1229 0.5645 0.5478  2 Zn 2.39-2.43
C 0.4119 0.8476 0.4583  3 H 1.10
Ge 0.6086 0.2300 0.1227  3 Si 2.42, 1 Zn 2.43
H 0.1612 0.4978 0.8531  1 C 1.10
Si 0.2571 0.6277 0.9369  3 C 1.89
H 0.7277 0.3978 0.2642  1 C 1.10
C 0.0963 0.7586 0.7822  3 H 1.10
H 0.1758 0.2114 0.5323  1 C 1.10
C 0.3582 0.9111 0.7420  3 H 1.10
H 0.0983 0.9182 0.9056  1 C 1.10
H 0.6863 0.5230 0.1159  1 C 1.10
H 0.2231 0.9529 0.5380  1 C 1.10
C 0.1782 0.3670 0.3863  2 H 1.10
H 0.3905 0.1804 0.9203  1 C 1.10
C 0.4037 0.7414 0.2822  3 H 1.10
C 0.3218 0.1330 0.8863  2 H 1.10
H 0.4989 0.4038 0.4266  1 C 1.09
C 0.8177 0.1816 0.7797  3 H 1.10
H 0.8135 0.8327 0.7936  1 C 1.10
H 0.3772 0.1329 0.8427  1 C 1.10
H 0.4017 0.5818 0.4056  1 C 1.10
H 0.1095 0.3196 0.4203  1 C 1.10
H 0.5315 0.0896 0.5118  1 C 1.10
C 0.7800 0.5011 0.1042  3 H 1.10
H 0.1863 0.0230 0.3841  1 C 1.10
H 0.1641 0.5283 0.2710  1 C 1.10
H 0.0673 0.8142 0.8131  1 C 1.10
Si 0.1155 0.2464 0.6417  3 C 1.89
Zn 0.4230 0.9263 0.9380  1 O 2.30, 2 Cl 2.39-2.43, 1 Ge 2.43
C 0.1907 0.1683 0.8775  2 H 1.09-1.10
C 0.6562 0.3891 0.9880  3 H 1.10
H 0.4689 0.9284 0.7355  1 C 1.10
H 0.7231 0.4529 0.9620  1 C 1.10
H 0.9327 0.1858 0.1869  1 C 1.10
H 0.2296 0.8079 0.1758  1 C 1.10
H 0.0735 0.8097 0.2120  1 C 1.10
H 0.3107 0.9135 0.6965  1 C 1.10
H 0.9416 0.9043 0.2845  1 C 1.10
H 0.3084 0.2657 0.4073  1 C 1.10
H 0.3972 0.7750 0.4839  1 C 1.10
H 0.7776 0.5770 0.3172  1 C 1.10
H 0.0448 0.6805 0.7981  1 C 1.10
H 0.8388 0.5022 0.1469  1 C 1.10
H 0.7296 0.3079 0.3242  1 C 1.10
H 0.1916 0.2343 0.9073  1 C 1.10
C 0.6150 0.6141 0.8280  3 H 1.10
H 0.8359 0.4717 0.7290  1 C 1.10
Zn 0.5770 0.0737 0.0620  1 O 2.30, 2 Cl 2.39-2.43, 1 Ge 2.43
C 0.1418 0.5889 0.2420  3 H 1.10
H 0.2704 0.6921 0.6758  1 C 1.10
C 0.7111 0.8441 0.8004  3 H 1.10
C 0.1823 0.8184 0.2203  3 H 1.10
H 0.6374 0.3192 0.9594  1 C 1.10
H 0.6612 0.9978 0.6469  1 C 1.10
H 0.8772 0.6329 0.6573  1 C 1.10
H 0.3626 0.6808 0.0406  1 C 1.10
H 0.0587 0.9082 0.5044  1 C 1.10
C 0.7889 0.6559 0.3004  3 H 1.10
H 0.1228 0.3671 0.3427  1 C 1.10
C 0.3093 0.3317 0.3775  2 H 1.09-1.10
H 0.8137 0.9770 0.6159  1 C 1.10
H 0.6294 0.4944 0.5254  1 C 1.10
H 0.4327 0.6858 0.3131  1 C 1.10
H 0.6916 0.7343 0.5927  1 C 1.10
Cl 0.8771 0.4355 0.4522  2 Zn 2.39-2.43
Cl 0.3771 0.9355 0.0478  2 Zn 2.39-2.43
H 0.5983 0.4182 0.5944  1 C 1.10
H 0.5248 0.1556 0.5824  1 C 1.10
O 0.7179 0.9733 0.0924  2 C 1.45-1.46
C 0.9119 0.3476 0.0417  3 H 1.10
Zn 0.0770 0.5737 0.4380  1 O 2.30, 2 Cl 2.39-2.43, 1 Ge 2.43
H 0.6811 0.6920 0.6703  1 C 1.09
H 0.2790 0.3882 0.1806  1 C 1.10
H 0.4552 0.8195 0.2981  1 C 1.10
H 0.1893 0.5865 0.1965  1 C 1.10
H 0.1294 0.9944 0.9746  1 C 1.10
C 0.8218 0.6330 0.6137  2 H 1.10
Si 0.2429 0.8723 0.4369  3 C 1.89
H 0.8905 0.6804 0.5797  1 C 1.10
Si 0.6155 0.7464 0.8583  3 C 1.89
H 0.3242 0.2886 0.0323  1 C 1.10
H 0.6028 0.2250 0.5161  1 C 1.10
H 0.8626 0.1808 0.4594  1 C 1.10
H 0.9685 0.4104 0.0118  1 C 1.10
Ge 0.8914 0.2700 0.6227  3 Si 2.42, 1 Zn 2.43
Si 0.7126 0.2202 0.2224  3 C 1.89
C 0.9037 0.2414 0.2178  3 H 1.10
Si 0.7874 0.2798 0.7224  3 C 1.89
H 0.7224 0.9230 0.8172  1 C 1.10
C 0.8610 0.0038 0.0761  2 H 1.10
H 0.4419 0.7312 0.2357  1 C 1.10
C 0.5721 0.5745 0.6056  2 H 1.09
H 0.8242 0.7886 0.4677  1 C 1.10
H 0.0311 0.5716 0.2355  1 C 1.10
H 0.2277 0.8978 0.2358  1 C 1.10
H 0.0708 0.0532 0.6385  1 C 1.10
H 0.7210 0.6118 0.8194  1 C 1.10
H 0.3394 0.1632 0.2449  1 C 1.10
H 0.6758 0.7114 0.9677  1 C 1.10
C 0.3438 0.6109 0.0120  3 H 1.10
H 0.6606 0.8368 0.7551  1 C 1.10
C 0.2800 0.0011 0.3958  3 H 1.10
H 0.7324 0.8452 0.9496  1 C 1.10
C 0.0721 0.0745 0.8944  2 H 1.09
Si 0.2126 0.7202 0.2776  3 C 1.89
H 0.5448 0.1805 0.7019  1 C 1.10
H 0.3135 0.3327 0.7064  1 C 1.10
H 0.7723 0.1022 0.7642  1 C 1.10
H 0.9419 0.2312 0.2643  1 C 1.10
H 0.7704 0.1921 0.8242  1 C 1.10
H 0.4860 0.4579 0.3532  1 C 1.09
H 0.1374 0.8192 0.5406  1 C 1.10
H 0.1594 0.4396 0.9269  1 C 1.10
H 0.6893 0.0865 0.3035  1 C 1.10
H 0.4413 0.5918 0.0044  1 C 1.10
H 0.1770 0.2425 0.0790  1 C 1.10
H 0.5584 0.5957 0.7845  1 C 1.10
H 0.8230 0.7575 0.9210  1 C 1.10
H 0.1028 0.7250 0.9839  1 C 1.10
C 0.1390 0.9962 0.9239  2 H 1.10
C 0.8850 0.8859 0.3280  3 H 1.10
H 0.2224 0.4230 0.6828  1 C 1.10
O 0.7821 0.5267 0.5924  2 C 1.45-1.46
C 0.2889 0.1559 0.1996  3 H 1.10
H 0.0248 0.6556 0.9176  1 C 1.10
H 0.4685 0.9104 0.4882  1 C 1.10
H 0.0011 0.0962 0.9266  1 C 1.09
C 0.9279 0.9255 0.1056  2 H 1.09
H 0.5311 0.0716 0.2645  1 C 1.10
H 0.9752 0.3444 0.0824  1 C 1.10
H 0.4265 0.6903 0.7120  1 C 1.10
H 0.6865 0.6673 0.2936  1 C 1.10
H 0.3406 0.0604 0.4269  1 C 1.10
H 0.3137 0.4770 0.8841  1 C 1.10
Zn 0.9230 0.4263 0.5620  1 O 2.30, 2 Cl 2.39-2.43, 1 Ge 2.43
H 0.6770 0.7425 0.4210  1 C 1.10
H 0.2769 0.5471 0.0380  1 C 1.10
H 0.0140 0.0421 0.8532  1 C 1.09
H 0.8189 0.8080 0.1703  1 C 1.09
H 0.7790 0.8882 0.3194  1 C 1.10
H 0.0581 0.7688 0.7357  1 C 1.10
C 0.6823 0.3184 0.2797  3 H 1.10
C 0.8582 0.4111 0.7580  3 H 1.10
H 0.8394 0.6632 0.2551  1 C 1.10
C 0.2789 0.2330 0.0686  3 H 1.10
C 0.6418 0.0889 0.2580  3 H 1.10
H 0.3230 0.2575 0.5790  1 C 1.10
H 0.8406 0.5604 0.0731  1 C 1.10
Si 0.2874 0.7798 0.7776  3 C 1.89
H 0.5140 0.5421 0.6468  1 C 1.09
H 0.0315 0.5896 0.9882  1 C 1.10
H 0.0584 0.0957 0.7155  1 C 1.10
H 0.5581 0.2688 0.7643  1 C 1.10
C 0.0881 0.6524 0.9583  3 H 1.10
H 0.3189 0.3080 0.3297  1 C 1.09
H 0.6641 0.0283 0.2290  1 C 1.10
H 0.5735 0.3097 0.2880  1 C 1.10
H 0.2210 0.1118 0.6806  1 C 1.10
C 0.3850 0.3859 0.1720  3 H 1.10
C 0.6907 0.6683 0.6225  2 H 1.09-1.10
C 0.5963 0.2586 0.7178  3 H 1.10
C 0.4279 0.4255 0.3944  2 H 1.09
C 0.8438 0.1109 0.4880  3 H 1.10
C 0.5881 0.1524 0.5417  3 H 1.10
H 0.2776 0.0770 0.1828  1 C 1.10
Si 0.7429 0.3723 0.0631  3 C 1.89
O 0.2821 0.0267 0.9076  2 C 1.45-1.46
H 0.5673 0.3142 0.6869  1 C 1.10
Si 0.8845 0.7536 0.3583  3 C 1.89
H 0.1811 0.1920 0.8297  1 C 1.09
C 0.6390 0.4962 0.5761  2 H 1.10
H 0.9689 0.4284 0.7645  1 C 1.10
H 0.2723 0.6022 0.7358  1 C 1.10
C 0.3610 0.5038 0.4239  2 H 1.10
H 0.8107 0.4135 0.8035  1 C 1.10
H 0.9552 0.3195 0.2019  1 C 1.10
H 0.4292 0.4468 0.1385  1 C 1.10
Si 0.3845 0.2536 0.1417  3 C 1.89
C 0.7789 0.7330 0.4314  3 H 1.10
H 0.6095 0.8196 0.0797  1 C 1.10
H 0.7769 0.0471 0.4620  1 C 1.10
H 0.6228 0.8671 0.1573  1 C 1.10
H 0.8972 0.2750 0.0161  1 C 1.10
H 0.4752 0.8444 0.4176  1 C 1.10
H 0.9265 0.1903 0.7880  1 C 1.10
H 0.5587 0.4082 0.9956  1 C 1.10
H 0.5011 0.5962 0.5734  1 C 1.09
H 0.7676 0.6548 0.4496  1 C 1.10
C 0.7211 0.7670 0.9314  3 H 1.10
H 0.1606 0.3368 0.7449  1 C 1.10
Ge 0.3914 0.7700 0.8773  3 Si 2.42, 1 Zn 2.43
Cl 0.6229 0.0645 0.9522  2 Zn 2.39-2.43
C 0.1562 0.8891 0.5120  3 H 1.10
Si 0.7571 0.1277 0.5631  3 C 1.89
H 0.6594 0.9396 0.5731  1 C 1.10
C 0.3177 0.6816 0.7203  3 H 1.10
C 0.2111 0.3441 0.6996  3 H 1.10
H 0.3359 0.9717 0.7710  1 C 1.10
H 0.9860 0.9579 0.1468  1 C 1.09
H 0.3388 0.0022 0.3531  1 C 1.10
Ge 0.1086 0.7300 0.3773  3 Si 2.42, 1 Zn 2.43
H 0.8084 0.7657 0.0927  1 C 1.10
H 0.4416 0.4043 0.2155  1 C 1.10
C 0.7200 0.9989 0.6042  3 H 1.10
H 0.8706 0.0056 0.0254  1 C 1.10
H 0.2324 0.3452 0.5504  1 C 1.10
H 0.5708 0.5532 0.8615  1 C 1.10
C 0.2211 0.2670 0.5686  3 H 1.10
H 0.2676 0.1548 0.0504  1 C 1.10
C 0.2200 0.4989 0.8958  3 H 1.10
H 0.9413 0.0918 0.4956  1 C 1.10
H 0.1865 0.1673 0.2064  1 C 1.10
C 0.1150 0.1141 0.6720  3 H 1.10
H 0.9017 0.0818 0.0944  1 C 1.10
H 0.9292 0.9468 0.3615  1 C 1.10
O 0.2179 0.4733 0.4076  2 C 1.45-1.46
C 0.6782 0.8670 0.1137  2 H 1.10
C 0.8093 0.8317 0.1225  2 H 1.09-1.10
H 0.3706 0.5056 0.4746  1 C 1.10

Record 6
Material: Pr7YFe56B4
Method: DFT, PBE-GGA
State: relaxed

Output
- Total moment: 125.30 μB/cell

Unit cell a=8.7910 b=8.7910 c=12.1340 alpha=90.00 beta=90.00 gamma=90.05
Last column: nearest neighbours and their distance in Å.
Positions (direct):
Fe 0.9321 0.7254 0.6280  1 B 2.10
Fe 0.0002 0.5000 0.0000  8 Fe 2.49-2.59
B 0.8764 0.8761 0.5000  6 Fe 2.07-2.10
Y 0.7707 0.2293 0.5000  16 Fe 3.02-3.27, 2 B 3.24
Pr 0.8575 0.1425 0.0000  1 B 2.91, 6 Fe 3.07-3.15
Fe 0.6823 0.6821 0.2459  12 Fe 2.64-2.78
Fe 0.9634 0.6388 0.1768  10 Fe 2.40-2.66
Fe 0.9321 0.7254 0.3720  1 B 2.10
Pr 0.1421 0.8579 0.0000  1 B 2.92, 6 Fe 3.08-3.13
Pr 0.2685 0.2683 0.0000  16 Fe 3.05-3.27, 2 B 3.26
Pr 0.7317 0.7315 0.0000  16 Fe 3.05-3.27, 2 B 3.26
Fe 0.3612 0.0366 0.1768  10 Fe 2.40-2.66
Fe 0.5988 0.4012 0.2963  8 Fe 2.38-2.65
Fe 0.1820 0.8180 0.7457  12 Fe 2.64-2.78
Fe 0.7255 0.9343 0.6269  1 B 2.10
Fe 0.3612 0.0366 0.8232  10 Fe 2.40-2.66
Fe 0.3179 0.3177 0.7541  12 Fe 2.64-2.78
Fe 0.8601 0.4620 0.6751  10 Fe 2.38-2.67
Fe 0.5380 0.1399 0.6751  10 Fe 2.38-2.67
Fe 0.1820 0.8180 0.2543  12 Fe 2.64-2.78
Fe 0.9018 0.9024 0.2048  8 Fe 2.40-2.65
Fe 0.5380 0.1399 0.3249  10 Fe 2.38-2.67
Fe 0.9984 0.4985 0.5000  8 Fe 2.47-2.59
Fe 0.1385 0.5362 0.6760  10 Fe 2.40-2.66
Fe 0.0976 0.0982 0.7952  8 Fe 2.40-2.65
B 0.6235 0.3765 0.0000  6 Fe 2.07-2.10
Fe 0.5002 0.4998 0.8853  2 B 2.07
Fe 0.9634 0.6388 0.8232  10 Fe 2.40-2.66
Fe 0.5015 0.0016 0.5000  8 Fe 2.47-2.59
Fe 0.4021 0.5979 0.2951  8 Fe 2.40-2.64
Pr 0.6432 0.6404 0.5000  1 B 2.91, 8 Fe 3.07-3.26
Fe 0.5002 0.4998 0.1147  2 B 2.07
Fe 0.4638 0.8615 0.6760  10 Fe 2.40-2.66
Fe 0.2746 0.0679 0.6280  1 B 2.10
Fe 0.5677 0.2254 0.1283  1 B 2.10
Fe 0.0657 0.2745 0.3731  1 B 2.10
Fe 0.5677 0.2254 0.8717  1 B 2.10
Fe 0.2746 0.0679 0.3720  1 B 2.10
Fe 0.2253 0.5676 0.1279  1 B 2.10
Fe 0.2253 0.5676 0.8721  1 B 2.10
Fe 0.7746 0.4323 0.1283  1 B 2.10
Fe 0.0657 0.2745 0.6269  1 B 2.10
Fe 0.0361 0.3609 0.8232  10 Fe 2.40-2.66
Fe 0.6823 0.6821 0.7541  12 Fe 2.64-2.78
Fe 0.6391 0.9639 0.8232  10 Fe 2.40-2.66
Fe 0.5988 0.4012 0.7037  8 Fe 2.38-2.65
Pr 0.3596 0.3568 0.5000  1 B 2.91, 8 Fe 3.07-3.26
B 0.3769 0.6231 0.0000  6 Fe 2.07-2.10
Fe 0.3179 0.3177 0.2459  12 Fe 2.64-2.78
Fe 0.9018 0.9024 0.7952  8 Fe 2.40-2.65
Fe 0.8174 0.1826 0.7439  12 Fe 2.62-2.76
Fe 0.4021 0.5979 0.7049  8 Fe 2.40-2.64
Pr 0.2315 0.7685 0.5000  16 Fe 3.04-3.27, 2 B 3.26
Fe 0.9990 0.0010 0.3856  2 B 2.07
Fe 0.4324 0.7747 0.8721  1 B 2.10
Fe 0.6391 0.9639 0.1768  10 Fe 2.40-2.66
Fe 0.0361 0.3609 0.1768  10 Fe 2.40-2.66
Fe 0.8601 0.4620 0.3249  10 Fe 2.38-2.67
Fe 0.5000 0.9998 0.0000  8 Fe 2.49-2.59
Fe 0.7746 0.4323 0.8717  1 B 2.10
Fe 0.8174 0.1826 0.2561  12 Fe 2.62-2.76
Fe 0.9990 0.0010 0.6144  2 B 2.07
Fe 0.7255 0.9343 0.3731  1 B 2.10
Fe 0.4638 0.8615 0.3240  10 Fe 2.40-2.66
Fe 0.4324 0.7747 0.1279  1 B 2.10
B 0.1239 0.1236 0.5000  6 Fe 2.07-2.10
Fe 0.1385 0.5362 0.3240  10 Fe 2.40-2.66
Fe 0.0976 0.0982 0.2048  8 Fe 2.40-2.65

Record 7
Material: RbCaBr3
Method: DFT, PBE-GGA
State: relaxed

Unit cell a=4.4195 b=9.8467 c=16.3840 alpha=90.00 beta=90.00 gamma=90.00
Last column: nearest neighbours and their distance in Å.
Positions (direct):
Br 0.7500 0.1675 0.9912  2 Ca 2.93
Ca 0.2500 0.3309 0.0553  6 Br 2.82-2.97
Br 0.2500 0.3325 0.4912  2 Ca 2.93
Rb 0.2500 0.0697 0.8213  8 Br 3.57-3.86
Br 0.7500 0.6675 0.5088  2 Ca 2.93
Ca 0.7500 0.6691 0.9447  6 Br 2.82-2.97
Br 0.7500 0.0182 0.3989  3 Ca 2.96-2.97
Rb 0.7500 0.4303 0.3213  8 Br 3.57-3.86
Rb 0.7500 0.9303 0.1787  8 Br 3.57-3.86
Br 0.7500 0.5182 0.1011  3 Ca 2.96-2.97
Br 0.2500 0.8325 0.0088  2 Ca 2.93
Ca 0.2500 0.8309 0.4447  6 Br 2.82-2.97
Br 0.2500 0.9818 0.6011  3 Ca 2.96-2.97
Br 0.2500 0.2096 0.2115  1 Ca 2.82
Ca 0.7500 0.1691 0.5553  6 Br 2.82-2.97
Br 0.7500 0.7904 0.7885  1 Ca 2.82
Rb 0.2500 0.5697 0.6787  8 Br 3.57-3.86
Br 0.7500 0.2904 0.7115  1 Ca 2.82
Br 0.2500 0.7096 0.2885  1 Ca 2.82
Br 0.2500 0.4818 0.8989  3 Ca 2.96-2.97

Record 8
Material: Y2ZnIn
Method: DFT, PBE-GGA
State: relaxed

Unit cell a=5.2149 b=5.2149 c=5.2149 alpha=60.00 beta=60.00 gamma=60.00
Last column: nearest neighbours and their distance in Å.
Positions (direct):
In 0.0000 0.0000 0.0000  8 Y 3.19
Zn 0.5000 0.5000 0.5000  8 Y 3.19
Y 0.7500 0.7500 0.7500  4 Zn 3.19, 4 In 3.19
Y 0.2500 0.2500 0.2500  4 Zn 3.19, 4 In 3.19

Respective mass density values: 7.4 12.5 16.8 4.4 1.1 7.5 3.4 5.9 g cm⁻³.
Respective energy relative to the elements values: -276 -165 -328 -434 -243 -51 -2283 -434 meV per atom.